a:
Computed, not measured: H6PbCI3N after structural relaxation at the GGA-PBE level of DFT.

Unit cell a=8.8595 b=8.8595 c=13.0550 alpha=89.57 beta=89.57 gamma=89.96
Sites, in units of the cell vectors:
H1 0.0197 0.6476 0.2280
H2 0.0346 0.5157 0.3329
H3 0.1591 0.5007 0.2240
H4 0.8235 0.4519 0.2194
H5 0.9406 0.4390 0.1194
H6 0.9542 0.3146 0.2158
H7 0.5957 0.9355 0.1167
H8 0.7187 0.9514 0.2125
H9 0.5893 0.8127 0.2144
H10 0.5210 0.1451 0.2267
H11 0.3832 0.9969 0.2287
H12 0.5134 0.0144 0.3329
H13 0.3146 0.9542 0.7158
H14 0.4390 0.9406 0.6194
H15 0.4519 0.8235 0.7194
H16 0.5007 0.1591 0.7240
H17 0.5157 0.0346 0.8329
H18 0.6476 0.0197 0.7280
H19 0.9514 0.7187 0.7125
H20 0.9355 0.5957 0.6167
H21 0.8127 0.5893 0.7144
H22 0.1451 0.5210 0.7267
H23 0.0144 0.5134 0.8329
H24 0.9969 0.3832 0.7287
Pb1 0.5166 0.5082 0.9886
Pb2 0.5082 0.5166 0.4886
Pb3 0.0117 0.0292 0.4895
Pb4 0.0292 0.0117 0.9895
C1 0.4984 0.0279 0.2499
C2 0.0449 0.5303 0.2496
C3 0.5303 0.0449 0.7496
C4 0.0279 0.4984 0.7499
I1 0.8310 0.7021 0.9946
I2 0.2092 0.3238 0.9974
I3 0.7203 0.2065 0.9981
I4 0.3435 0.8295 0.9897
I5 0.8295 0.3435 0.4897
I6 0.2065 0.7203 0.4981
I7 0.7021 0.8310 0.4946
I8 0.3238 0.2092 0.4974
I9 0.5318 0.5228 0.2401
I10 0.5228 0.5318 0.7401
I11 0.0224 0.0055 0.7418
I12 0.0055 0.0224 0.2418
N1 0.6070 0.9260 0.1957
N2 0.9345 0.4281 0.1986
N3 0.4281 0.9345 0.6986
N4 0.9260 0.6070 0.6957

Summary:
Density   4.0 g/cm3



b:
Computed, not measured: H6PbCI3N after structural relaxation at the GGA-PBE level of DFT.

Unit cell a=6.4384 b=6.4367 c=6.4921 alpha=89.58 beta=90.00 gamma=90.00
Sites, in units of the cell vectors:
H1 0.8611 0.1591 0.0689
H2 0.0000 0.1324 0.8318
H3 0.1304 0.7960 0.9610
H4 0.0000 0.8212 0.1798
H5 0.8696 0.7960 0.9610
H6 0.1389 0.1591 0.0689
Pb1 0.5000 0.5248 0.4758
C1 0.0000 0.0954 0.9965
I1 0.5000 0.5718 0.9724
I2 0.5000 0.0384 0.4490
I3 0.0000 0.5629 0.5058
N1 0.0000 0.8651 0.0249

Summary:
Density   3.8 g/cm3



Winner for stability: a